MgFe2H2O4 | PBE+U | relaxed

Cell lengths 3.2606, 5.1878, 5.6940 Å; angles 79.25, 90.00, 90.00 degrees
With the nearest neighbours (Å) after each atom.
Sites, in units of the cell vectors:
1 Mg 0.5000 0.9206 0.2226  4 O 2.00-2.01, 1 H 2.19
2 Fe 0.0000 0.5455 0.9899  3 O 1.96-1.97
3 Fe 0.5000 0.2737 0.5207  6 O 2.08-2.32, 1 H 2.25
4 H 0.0000 0.7236 0.5578  1 O 1.01
5 H 0.5000 0.2488 0.9190  1 O 0.98
6 O 0.0000 0.0359 0.3783  1 H 1.75
7 O 0.5000 0.0758 0.8734  1 H 0.98
8 O 0.0000 0.5350 0.6455  1 H 1.01
9 O 0.5000 0.5439 0.1815  3 Fe 1.96-2.16, 1 Mg 2.01

The total energy comes out at -5.757 eV/atom. Its total magnetization is 8.00 Bohr magnetons per cell. The space-group type is Pm (6). For the energy above the lowest structure with this stoichiometry, the calculation gives 105 meV per atom. The mass density comes out at 3.5 g/cm³. Its formation enthalpy at 0 K is -1.550 eV per atom. The value obtained for the calculated volume is 95 Å³ per cell.